No. 1
DFT (PBE-GGA) results for a relaxed structure of Y2Ni7Sn3.

The structure belongs to space group Cmce (No. 64); the cell edges are 8.6389, 23.7045 and 7.6061 Å and the angles 90.00°, 90.00° and 90.00°. The asymmetric unit holds Y at (0.0000, 0.1939, 0.0728), Y at (0.2080, 0.0000, 0.5000), Ni at (0.0000, 0.0469, 0.1504), Ni at (0.0000, 0.1006, 0.4450), Ni at (0.0000, 0.1652, 0.6894), Ni at (0.1484, 0.1976, 0.4217), Ni at (0.2405, 0.1170, 0.9072), Sn at (0.0000, 0.0623, 0.7979), Sn at (0.2500, 0.1060, 0.2500) and Sn at (0.2500, 0.2187, 0.7500).

The value obtained for the total magnetization is 0.31 Bohr magnetons per cell.

---

No. 2
DFT (PBE-GGA) results for a relaxed structure of YNiSn.

The structure belongs to space group Pnma (No. 62); the cell edges are 7.1678, 4.4768 and 7.6992 Å and the angles 90.00°, 90.00° and 90.00°. The asymmetric unit holds Y at (0.0127, 0.2500, 0.2029), Ni at (0.1990, 0.7500, 0.4148) and Sn at (0.1909, 0.2500, 0.5870).

---

No. 3
DFT (PBE-GGA) results for a relaxed structure of YNiSn2.

The structure belongs to space group Pnma (No. 62); the cell edges are 16.1172, 4.4469 and 14.7232 Å and the angles 90.00°, 90.00° and 90.00°. The asymmetric unit holds Y at (0.1260, 0.2500, 0.2286), Y at (0.1450, 0.7500, 0.6064), Y at (0.1508, 0.2500, 0.9741), Ni at (0.0514, 0.7500, 0.1051), Ni at (0.1964, 0.2500, 0.7488), Ni at (0.2013, 0.2500, 0.4549), Sn at (0.0197, 0.7500, 0.9219), Sn at (0.0336, 0.2500, 0.7392), Sn at (0.0446, 0.2500, 0.4503), Sn at (0.1738, 0.7500, 0.3720), Sn at (0.1841, 0.7500, 0.8249) and Sn at (0.2139, 0.7500, 0.1059).

The value obtained for the total magnetization is 0.02 Bohr magnetons per cell.

---

No. 4
DFT (PBE-GGA) results for a relaxed structure of ZrNiSn.

The structure belongs to space group F-43m (No. 216); the cell edges are 6.3623, 6.3623 and 6.3623 Å and the angles 90.00°, 90.00° and 90.00°. The asymmetric unit holds Zr at (0.0000, 0.0000, 0.0000), Ni at (0.0000, 0.0000, 0.5000) and Sn at (0.2500, 0.2500, 0.2500).

The value obtained for the total magnetization is 0.01 Bohr magnetons per cell.

---

No. 5
DFT (PBE-GGA) results for a relaxed structure of ZrNiSn.

The structure belongs to space group F-43m (No. 216); the cell edges are 6.1626, 6.1626 and 6.1626 Å and the angles 90.00°, 90.00° and 90.00°. The asymmetric unit holds Zr at (0.0000, 0.0000, 0.0000), Ni at (0.2500, 0.2500, 0.7500) and Sn at (0.0000, 0.0000, 0.5000).

The largest piezoelectric modulus comes out at 0.07 C/m2.

---

No. 6
DFT (PBE-GGA) results for a relaxed structure of ZrNi4Sn.

The structure belongs to space group F-43m (No. 216); the cell edges are 6.9275, 6.9275 and 6.9275 Å and the angles 90.00°, 90.00° and 90.00°. The asymmetric unit holds Zr at (0.0000, 0.0000, 0.0000), Ni at (0.1254, 0.1254, 0.6254) and Sn at (0.2500, 0.2500, 0.2500).

The value obtained for the total magnetization is 0.94 Bohr magnetons per cell.

---

No. 7
DFT (PBE-GGA) results for a relaxed structure of ZrNiSn.

The structure belongs to space group F-43m (No. 216); the cell edges are 6.4673, 6.4673 and 6.4673 Å and the angles 90.00°, 90.00° and 90.00°. The asymmetric unit holds Zr at (0.0000, 0.0000, 0.0000), Ni at (0.2500, 0.2500, 0.7500) and Sn at (0.2500, 0.2500, 0.2500).

The value obtained for the total magnetization is 0.16 Bohr magnetons per cell.

---

No. 8
DFT (PBE-GGA) results for a relaxed structure of Sr3Ni.

The structure belongs to space group Pm-3m (No. 221); the cell edges are 5.2481, 5.2481 and 5.2481 Å and the angles 90.00°, 90.00° and 90.00°. The asymmetric unit holds Sr at (0.0000, 0.0000, 0.5000) and Ni at (0.5000, 0.5000, 0.5000).

The value obtained for the total magnetization is 0.05 Bohr magnetons per cell.

---

No. 9
DFT (PBE-GGA) results for a relaxed structure of Ta2Ni.

The structure belongs to space group I4/mcm (No. 140); the cell edges are 6.2286, 6.2286 and 4.8700 Å and the angles 90.00°, 90.00° and 90.00°. The asymmetric unit holds Ta at (0.1587, 0.3413, 0.0000) and Ni at (0.0000, 0.0000, 0.2500).

---

No. 10
DFT (PBE-GGA) results for a relaxed structure of Ta5Ni.

The structure belongs to space group Fd-3m (No. 227, origin choice 2); the cell edges are 11.8909, 11.8909 and 11.8909 Å and the angles 90.00°, 90.00° and 90.00°. The asymmetric unit holds Ta at (0.0387, 0.0387, 0.2113), Ta at (0.0618, 0.3750, 0.8750) and Ni at (0.0000, 0.0000, 0.0000).

The value obtained for the total magnetization is 0.52 Bohr magnetons per cell.

---

No. 11
DFT (PBE-GGA) results for a relaxed structure of Ta2Ni.

The structure belongs to space group P6_3/mcm (No. 193); the cell edges are 4.8959, 4.8959 and 9.3929 Å and the angles 90.00°, 90.00° and 120.00°. The asymmetric unit holds Ta at (0.0000, 0.0000, 0.0000), Ta at (0.0000, 0.3444, 0.2500) and Ni at (0.3333, 0.6667, 0.0000).

The value obtained for the total magnetization is 0.05 Bohr magnetons per cell.

---

No. 12
DFT (PBE-GGA) results for a relaxed structure of TaNi2.

The structure belongs to space group I4/mmm (No. 139); the cell edges are 3.1698, 3.1698 and 7.8923 Å and the angles 90.00°, 90.00° and 90.00°. The asymmetric unit holds Ta at (0.0000, 0.0000, 0.0000) and Ni at (0.0000, 0.0000, 0.3337).

---

No. 13
DFT (PBE-GGA) results for a relaxed structure of TaNiTe2.

The structure belongs to space group Pmna (No. 53); the cell edges are 7.9766, 7.5331 and 6.2641 Å and the angles 90.00°, 90.00° and 90.00°. The asymmetric unit holds Ta at (0.2062, 0.0000, 0.0000), Ni at (0.0000, 0.1146, 0.3554), Te at (0.0000, 0.2198, 0.7529) and Te at (0.2500, 0.3115, 0.2500).

For the MP2020-corrected energy, the calculation gives -6.576 eV/atom.

---

No. 14
DFT (PBE-GGA) results for a relaxed structure of TaNiTe5.

The structure belongs to space group Cmcm (No. 63); the cell edges are 3.7099, 13.9332 and 15.2550 Å and the angles 90.00°, 90.00° and 90.00°. The asymmetric unit holds Ta at (0.0000, 0.0097, 0.2500), Ni at (0.0000, 0.5000, 0.0000), Te at (0.0000, 0.0994, 0.0759), Te at (0.0000, 0.3349, 0.7500) and Te at (0.0000, 0.4025, 0.1457).

For the MP2020-corrected energy, the calculation gives -5.362 eV/atom.

---

No. 15
DFT (PBE-GGA) results for a relaxed structure of Ta4NiTe4.

The structure belongs to space group Pbam (No. 55); the cell edges are 10.7812, 18.6580 and 4.7572 Å and the angles 90.00°, 90.00° and 90.00°. The asymmetric unit holds Ta at (0.0662, 0.1191, 0.0000), Ta at (0.1010, 0.8896, 0.5000), Ta at (0.1928, 0.0581, 0.5000), Ta at (0.2080, 0.9631, 0.0000), Ni at (0.0000, 0.0000, 0.2497), Te at (0.1097, 0.2045, 0.5000), Te at (0.1444, 0.4351, 0.5000), Te at (0.1689, 0.6001, 0.0000) and Te at (0.1706, 0.8111, 0.0000).

The value obtained for the total magnetization is 0.03 Bohr magnetons per cell. For the MP2020-corrected energy, the calculation gives -7.845 eV/atom.

---

No. 16
DFT (PBE-GGA) results for a relaxed structure of TaNi2Te3.

The structure belongs to space group P2_1/m (No. 11); the cell edges are 7.8602, 3.7162 and 10.5337 Å and the angles 90.00°, 110.31° and 90.00°. The asymmetric unit holds Ta at (0.2117, 0.2500, 0.1993), Ni at (0.0378, 0.2500, 0.9343), Ni at (0.4046, 0.7500, 0.4081), Te at (0.0571, 0.7500, 0.3264), Te at (0.2762, 0.7500, 0.0076) and Te at (0.4231, 0.7500, 0.6580).

For the MP2020-corrected energy, the calculation gives -6.046 eV/atom.

---

No. 17
DFT (PBE-GGA) results for a relaxed structure of TaVNi.

The structure belongs to space group Amm2 (No. 38); the cell edges are 8.0610, 4.9130 and 8.5450 Å and the angles 90.00°, 90.00° and 90.00°. The asymmetric unit holds Ta at (0.1841, 0.0000, 0.0000), Ta at (0.3063, 0.0000, 0.6644), V at (0.0000, 0.0000, 0.4837), V at (0.5000, 0.0000, 0.1514), V at (0.5000, 0.2453, 0.9098), Ni at (0.0000, 0.2440, 0.7322) and Ni at (0.2455, 0.0000, 0.3244).

The value obtained for the total magnetization is 0.00 Bohr magnetons per cell.

---

No. 18
DFT (PBE-GGA) results for a relaxed structure of TbNi2.

The structure belongs to space group Fd-3m (No. 227, origin choice 2); the cell edges are 7.1683, 7.1683 and 7.1683 Å and the angles 90.00°, 90.00° and 90.00°. The asymmetric unit holds Tb at (0.1250, 0.1250, 0.1250) and Ni at (0.0000, 0.0000, 0.5000).

---

Number 1: ΔH_f (0 K) -0.4239 eV per atom. Number 2: ΔH_f (0 K) -0.6857 eV per atom. Number 3: ΔH_f (0 K) -0.5875 eV per atom. Number 4: ΔH_f (0 K) 0.0746 eV per atom. Number 5: ΔH_f (0 K) -0.6842 eV per atom. Number 6: ΔH_f (0 K) -0.3746 eV per atom. Number 7: ΔH_f (0 K) 0.2053 eV per atom. Number 8: ΔH_f (0 K) 0.3762 eV per atom. Number 9: ΔH_f (0 K) -0.2351 eV per atom. Number 10: ΔH_f (0 K) 0.1080 eV per atom. Number 11: ΔH_f (0 K) 0.1141 eV per atom. Number 12: ΔH_f (0 K) -0.3346 eV per atom. Number 13: ΔH_f (0 K) -0.5949 eV per atom. Number 14: ΔH_f (0 K) -0.5971 eV per atom. Number 15: ΔH_f (0 K) -0.5360 eV per atom. Number 16: ΔH_f (0 K) -0.5709 eV per atom. Number 17: ΔH_f (0 K) -0.2127 eV per atom. Number 18: ΔH_f (0 K) -0.4324 eV per atom.